An optimized crystal structure of Na14Zn5Si6Sn3S6O48. Source: Materials Project, functional PBE.

abc: 18.3325 9.1095 22.3986
angles: 90.16 89.96 120.20
Fractional positions:
1 O 0.5947 0.2299 0.6914
2 O 0.1642 0.4968 0.0749
3 O 0.8948 0.9597 0.6938
4 O 0.3516 0.5572 0.5294
5 O 0.2450 0.1669 0.2433
6 O 0.8513 0.5271 0.2465
7 O 0.9226 0.8289 0.5895
8 O 0.7538 0.1456 0.9170
9 O 0.0160 0.2207 0.1957
10 O 0.4860 0.7779 0.8042
11 O 0.3926 0.9550 0.6890
12 O 0.7607 0.6330 0.8638
13 O 0.1475 0.8117 0.2582
14 O 0.9363 0.3653 0.9227
15 O 0.9868 0.1940 0.3044
16 O 0.0627 0.6422 0.3617
17 O 0.9161 0.0261 0.0886
18 O 0.6526 0.8415 0.9756
19 O 0.7588 0.8879 0.3639
20 O 0.5147 0.2153 0.1968
21 O 0.7758 0.8609 0.4710
22 O 0.1118 0.0391 0.3098
23 O 0.0088 0.2043 0.9131
24 O 0.2589 0.8277 0.7520
25 O 0.2172 0.2855 0.0248
26 O 0.7446 0.3316 0.7491
27 O 0.1132 0.1831 0.8103
28 O 0.3980 0.9762 0.4118
29 O 0.2195 0.1456 0.5230
30 O 0.6103 0.1802 0.8113
31 O 0.2726 0.6850 0.9699
32 O 0.8427 0.1702 0.7469
33 O 0.6816 0.4942 0.3570
34 O 0.2523 0.3625 0.4183
35 O 0.4266 0.3048 0.5274
36 O 0.3969 0.8358 0.1944
37 O 0.0727 0.4538 0.9720
38 O 0.0915 0.2169 0.6905
39 O 0.5078 0.8123 0.4143
40 O 0.6459 0.4571 0.4749
41 O 0.2751 0.8592 0.4723
42 O 0.8549 0.1479 0.0283
43 O 0.1815 0.4961 0.3585
44 O 0.8999 0.8220 0.9122
45 O 0.0657 0.6525 0.0793
46 O 0.7428 0.3776 0.1409
47 O 0.3508 0.1461 0.0287
48 O 0.6752 0.5076 0.0753
49 O 0.1711 0.8356 0.5755
50 O 0.1567 0.4917 0.7576
51 O 0.4235 0.5353 0.7408
52 O 0.0831 0.1555 0.0894
53 O 0.6653 0.8336 0.5753
54 O 0.4879 0.8131 0.0839
55 O 0.8267 0.5162 0.9221
56 O 0.5786 0.4664 0.2545
57 O 0.2532 0.1555 0.9227
58 O 0.2583 0.8882 0.3655
59 O 0.2603 0.6490 0.5791
60 O 0.9390 0.3571 0.6354
61 O 0.4141 0.8069 0.5879
62 O 0.3262 0.5291 0.6376
63 O 0.3205 0.5052 0.9202
64 O 0.0732 0.6933 0.4698
65 O 0.5841 0.1643 0.0919
66 O 0.2430 0.1050 0.6407
67 O 0.5794 0.9747 0.9133
68 O 0.9395 0.5220 0.1368
69 O 0.2604 0.6308 0.8621
70 O 0.9310 0.3076 0.5270
71 O 0.4108 0.0088 0.8084
72 O 0.9888 0.1766 0.5868
73 O 0.0782 0.4679 0.2549
74 O 0.9059 0.0157 0.8144
75 O 0.1509 0.4623 0.4775
76 O 0.7152 0.1427 0.5232
77 O 0.2569 0.6787 0.2520
78 O 0.5779 0.6908 0.7543
79 O 0.5825 0.0120 0.5906
80 O 0.4826 0.1697 0.5874
81 O 0.5589 0.6375 0.3631
82 O 0.3994 0.8113 0.9110
83 O 0.2337 0.3585 0.1441
84 O 0.4089 0.7983 0.3146
85 O 0.3200 0.1209 0.1365
86 O 0.5723 0.6488 0.0812
87 O 0.0785 0.1844 0.4132
88 O 0.9283 0.5457 0.0283
89 O 0.4130 0.0303 0.0888
90 O 0.8986 0.9760 0.4103
91 O 0.5695 0.4488 0.9715
92 O 0.7592 0.8297 0.7531
93 O 0.0188 0.8143 0.6977
94 O 0.2581 0.8706 0.0772
95 O 0.9119 0.8004 0.3107
96 O 0.4334 0.3636 0.9216
97 O 0.0619 0.4857 0.8644
98 O 0.6471 0.8099 0.2582
99 O 0.8623 0.5676 0.5242
100 O 0.9852 0.7991 0.0864
101 O 0.0094 0.8139 0.4122
102 O 0.7630 0.8735 0.0787
103 O 0.5770 0.1809 0.4120
104 O 0.8235 0.5163 0.6437
105 O 0.1796 0.8736 0.8581
106 O 0.9886 0.7818 0.8060
107 O 0.5909 0.9542 0.1924
108 O 0.3270 0.1382 0.4227
109 O 0.7166 0.2844 0.0241
110 O 0.4346 0.5043 0.4231
111 O 0.7524 0.6500 0.5812
112 O 0.5728 0.6897 0.4713
113 O 0.5586 0.4846 0.8641
114 O 0.9269 0.5362 0.7440
115 O 0.6565 0.4918 0.7588
116 O 0.5160 0.8128 0.6956
117 O 0.0809 0.6943 0.7560
118 O 0.9270 0.3214 0.2419
119 O 0.3431 0.1651 0.7483
120 O 0.7440 0.1631 0.2464
121 O 0.7500 0.3574 0.4172
122 O 0.4355 0.3564 0.6353
123 O 0.0898 0.9492 0.1916
124 O 0.4892 0.1946 0.3057
125 O 0.7742 0.6909 0.9711
126 O 0.0819 0.9782 0.9146
127 O 0.7578 0.6781 0.2511
128 O 0.3483 0.5276 0.2499
129 O 0.8283 0.1311 0.1361
130 O 0.6813 0.8710 0.8570
131 O 0.7380 0.1018 0.6421
132 O 0.9374 0.5049 0.4193
133 O 0.4262 0.3166 0.2453
134 O 0.4352 0.4972 0.1414
135 O 0.4214 0.5348 0.0208
136 O 0.8276 0.1387 0.4217
137 O 0.2452 0.3353 0.7441
138 O 0.5628 0.4789 0.5793
139 O 0.0668 0.4849 0.5796
140 O 0.6129 0.0384 0.3117
141 O 0.1514 0.8397 0.9783
142 O 0.8957 0.8264 0.1891
143 O 0.0890 0.0162 0.5905
144 O 0.5083 0.2038 0.9115
145 Si 0.6825 0.3362 0.0834
146 Si 0.4767 0.6195 0.0848
147 Si 0.1536 0.0022 0.2526
148 Si 0.8566 0.0098 0.7536
149 Si 0.8370 0.6318 0.5856
150 Si 0.6630 0.3696 0.4175
151 Si 0.1489 0.3008 0.7516
152 Si 0.1645 0.3730 0.4189
153 Si 0.6809 0.0264 0.5832
154 Si 0.6513 0.9983 0.2533
155 Si 0.8561 0.7109 0.2520
156 Si 0.1819 0.3402 0.0853
157 Si 0.1661 0.9581 0.9206
158 Si 0.6648 0.9589 0.9183
159 Si 0.1833 0.0281 0.5826
160 Si 0.3564 0.7140 0.2539
161 Si 0.3573 0.0043 0.7526
162 Si 0.6499 0.3022 0.7549
163 Zn 0.8128 0.2986 0.9857
164 Zn 0.3217 0.2984 0.6878
165 Zn 0.1633 0.6647 0.5149
166 Zn 0.8114 0.3429 0.4919
167 Zn 0.5085 0.0044 0.3425
168 Zn 0.3159 0.3271 0.4847
169 Zn 0.5056 0.0173 0.8461
170 Zn 0.0061 0.0157 0.8414
171 Zn 0.6555 0.6622 0.0203
172 Zn 0.1724 0.6713 0.0157
173 Zn 0.6749 0.6627 0.5198
174 Zn 0.0082 0.0034 0.3445
175 Zn 0.8184 0.3140 0.6826
176 Zn 0.8172 0.3319 0.1877
177 Zn 0.3282 0.3536 0.1838
178 Sn 0.6755 0.6743 0.3129
179 Sn 0.1766 0.6769 0.3134
180 Sn 0.5008 0.9804 0.1495
181 Sn 0.9999 0.0050 0.6510
182 Sn 0.3256 0.3228 0.9874
183 Sn 0.5051 0.0174 0.6550
184 Sn 0.6717 0.6743 0.8140
185 Sn 0.0050 0.9976 0.1546
186 Sn 0.1719 0.6765 0.8143
187 Na 0.3245 0.9688 0.5881
188 Na 0.3317 0.3086 0.8271
189 Na 0.0128 0.6964 0.5798
190 Na 0.4939 0.6345 0.2436
191 Na 0.6948 0.0250 0.7480
192 Na 0.5230 0.7021 0.5810
193 Na 0.0076 0.0043 0.9960
194 Na 0.6734 0.6694 0.6627
195 Na 0.6651 0.2791 0.9158
196 Na 0.9960 0.6424 0.2500
197 Na 0.3495 0.6604 0.4084
198 Na 0.4901 0.3020 0.4183
199 Na 0.6611 0.3447 0.5807
200 Na 0.9863 0.2969 0.4202
201 Na 0.3162 0.6307 0.7470
202 Na 0.8478 0.6559 0.4169
203 Na 0.8236 0.9548 0.5879
204 Na 0.1831 0.6779 0.1647
205 Na 0.8282 0.3132 0.8259
206 Na 0.6896 0.3622 0.2491
207 Na 0.6670 0.6694 0.1633
208 Na 0.1956 0.3663 0.2482
209 Na 0.5224 0.3508 0.0863
210 Na 0.1621 0.2808 0.9118
211 Na 0.1648 0.6674 0.6659
212 Na 0.8230 0.6809 0.0880
213 Na 0.4906 0.6822 0.9216
214 Na 0.5111 0.0156 0.4960
215 Na 0.3257 0.3298 0.3257
216 Na 0.0205 0.3408 0.0809
217 Na 0.1654 0.0516 0.4158
218 Na 0.8469 0.0340 0.9091
219 Na 0.1515 0.3286 0.5792
220 Na 0.1543 0.9754 0.0814
221 Na 0.6468 0.9602 0.0781
222 Na 0.6672 0.0530 0.4163
223 Na 0.9877 0.6777 0.9177
224 Na 0.0031 0.0002 0.4995
225 Na 0.5006 0.9918 0.9991
226 Na 0.8228 0.3271 0.3293
227 Na 0.1912 0.0204 0.7486
228 Na 0.8153 0.6265 0.7395
229 S 0.0200 0.6633 0.4165
230 S 0.5178 0.3716 0.9176
231 S 0.0197 0.3767 0.9185
232 S 0.8379 0.0458 0.0843
233 S 0.3153 0.6673 0.9174
234 S 0.9792 0.3347 0.5827
235 S 0.8154 0.6672 0.9191
236 S 0.8158 0.9658 0.4180
237 S 0.4987 0.7015 0.7509
238 S 0.3364 0.6305 0.5845
239 S 0.3155 0.9649 0.4193
240 S 0.3342 0.0402 0.0854
241 S 0.9983 0.2960 0.2511
242 S 0.5194 0.6624 0.4190
243 S 0.0004 0.7024 0.7520
244 S 0.9783 0.6232 0.0833
245 S 0.4759 0.3320 0.5833
246 S 0.4983 0.2918 0.2513

For the energy with MP2020 corrections, the calculation gives -1546.02 eV for the cell shown. As for the raw total energy: -5.88 eV/atom. The value obtained for the formation energy is -2.239 eV per atom.